K2BeSi4O13 | PBE | relaxed

CIF file:
```
data_K2BeSi4O13
_chemical_formula_sum 'K8 Be4 Si16 O52'
_symmetry_space_group_name_H-M 'C 2 2 21'
_symmetry_Int_Tables_number 20
_cell_length_a 9.743
_cell_length_b 12.350
_cell_length_c 9.963
_cell_angle_alpha 90.00
_cell_angle_beta 90.00
_cell_angle_gamma 90.00
loop_
_symmetry_equiv_pos_as_xyz
'x,y,z'
'-x,-y,z+1/2'
'x,-y,-z'
'-x,y,-z+1/2'
'x+1/2,y+1/2,z'
'-x+1/2,-y+1/2,z+1/2'
'x+1/2,-y+1/2,-z'
'-x+1/2,y+1/2,-z+1/2'
loop_
_atom_site_label
_atom_site_type_symbol
_atom_site_fract_x
_atom_site_fract_y
_atom_site_fract_z
K1 K 0.000 0.208 0.250
K2 K 0.140 0.500 0.500
Be1 Be 0.226 0.000 0.500
Si1 Si 0.136 0.303 0.907
Si2 Si 0.157 0.207 0.622
O1 O 0.000 0.448 0.250
O2 O 0.031 0.287 0.575
O3 O 0.119 0.021 0.161
O4 O 0.130 0.082 0.587
O5 O 0.175 0.430 0.897
O6 O 0.192 0.232 0.780
O7 O 0.207 0.246 0.040
```

Properties
crystal system = orthorhombic
VASP energy = -6.46 eV/atom
E_form = -2.312 eV/atom
magnetization = 6.000 μB per formula unit